# ZnCuO2 (GGA-PBE, relaxed)
data_ZnCuO2
_symmetry_space_group_name_H-M 'P -1'
_symmetry_Int_Tables_number 2
_cell_length_a 2.894
_cell_length_b 8.352
_cell_length_c 8.426
_cell_angle_alpha 91.03
_cell_angle_beta 99.66
_cell_angle_gamma 99.86
loop_
_symmetry_equiv_pos_as_xyz
'x,y,z'
'-x,-y,-z'
loop_
_atom_site_label
_atom_site_type_symbol
_atom_site_fract_x
_atom_site_fract_y
_atom_site_fract_z
Zn1 Zn 0.086 0.429 0.231
Zn2 Zn 0.296 0.214 0.881
Cu1 Cu 0.099 0.889 0.808
Cu2 Cu 0.318 0.689 0.445
O1 O 0.090 0.268 0.411
O2 O 0.300 0.389 0.721
O3 O 0.316 0.941 0.192
O4 O 0.454 0.283 0.111
# Energy of formation from the pure elements (eV/atom): -1.144
# Crystal system: triclinic
# Spin magnetization (μB per cell): 3.3
# Uncorrected energy (eV per cell): -73.8

***

# ZnCu2O4 (GGA-PBE, relaxed)
data_ZnCu2O4
_symmetry_space_group_name_H-M 'I 41/a'
_symmetry_Int_Tables_number 88
_cell_length_a 5.456
_cell_length_b 5.456
_cell_length_c 9.598
_cell_angle_alpha 90.00
_cell_angle_beta 90.00
_cell_angle_gamma 90.00
loop_
_symmetry_equiv_pos_as_xyz
'x,y,z'
'-x,-y,-z'
'-y+3/4,x+1/4,z+1/4'
'y+3/4,-x+1/4,-z+1/4'
'-x+1/2,-y,z+1/2'
'x+1/2,y,-z+1/2'
'y+3/4,-x+3/4,z+3/4'
'-y+3/4,x+3/4,-z+3/4'
'x+1/2,y+1/2,z+1/2'
'-x+1/2,-y+1/2,-z+1/2'
'-y+1/4,x+3/4,z+3/4'
'y+1/4,-x+3/4,-z+3/4'
'-x,-y+1/2,z'
'x,y+1/2,-z'
'y+1/4,-x+1/4,z+1/4'
'-y+1/4,x+1/4,-z+1/4'
loop_
_atom_site_label
_atom_site_type_symbol
_atom_site_fract_x
_atom_site_fract_y
_atom_site_fract_z
Zn1 Zn 0.000 0.250 0.125
Cu1 Cu 0.000 0.000 0.500
O1 O 0.170 0.453 0.327
# Energy of formation from the pure elements (eV/atom): -1.079
# Crystal system: tetragonal
# Spin magnetization (μB per cell): 0.0
# Uncorrected energy (eV per cell): -136.2
# ΔE to the lowest computed polymorph (eV per atom): 0.050

***

# ZnCu2O4 (GGA-PBE, relaxed)
data_ZnCu2O4
_symmetry_space_group_name_H-M 'P b c m'
_symmetry_Int_Tables_number 57
_cell_length_a 3.121
_cell_length_b 9.920
_cell_length_c 9.276
_cell_angle_alpha 90.00
_cell_angle_beta 90.00
_cell_angle_gamma 90.00
loop_
_symmetry_equiv_pos_as_xyz
'x,y,z'
'-x,-y,-z'
'-x,-y,z+1/2'
'x,y,-z+1/2'
'x,-y+1/2,-z'
'-x,y+1/2,z'
'-x,y+1/2,-z+1/2'
'x,-y+1/2,z+1/2'
loop_
_atom_site_label
_atom_site_type_symbol
_atom_site_fract_x
_atom_site_fract_y
_atom_site_fract_z
Zn1 Zn 0.170 0.154 0.250
Cu1 Cu 0.329 0.614 0.569
O1 O 0.019 0.250 0.000
O2 O 0.320 0.702 0.750
O3 O 0.370 0.542 0.116
# Energy of formation from the pure elements (eV/atom): -1.086
# Crystal system: orthorhombic
# Spin magnetization (μB per cell): 0.0
# Uncorrected energy (eV per cell): -136.4
# ΔE to the lowest computed polymorph (eV per atom): 0.044

***

# ZnCu2O4 (GGA-PBE, relaxed)
data_ZnCu2O4
_symmetry_space_group_name_H-M 'P m m n'
_symmetry_Int_Tables_number 59
_cell_length_a 5.805
_cell_length_b 10.112
_cell_length_c 5.046
_cell_angle_alpha 90.00
_cell_angle_beta 90.00
_cell_angle_gamma 90.00
loop_
_symmetry_equiv_pos_as_xyz
'x,y,z'
'-x,-y,-z'
'-x+1/2,-y+1/2,z'
'x+1/2,y+1/2,-z'
'x+1/2,-y,-z'
'-x+1/2,y,z'
'-x,y+1/2,-z'
'x,-y+1/2,z'
loop_
_atom_site_label
_atom_site_type_symbol
_atom_site_fract_x
_atom_site_fract_y
_atom_site_fract_z
Zn1 Zn 0.250 0.250 0.019
Zn2 Zn 0.250 0.750 0.345
Cu1 Cu 0.000 0.000 0.500
Cu2 Cu 0.250 0.517 0.985
O1 O 0.001 0.117 0.835
O2 O 0.250 0.097 0.300
O3 O 0.250 0.604 0.637
# Energy of formation from the pure elements (eV/atom): -0.961
# Crystal system: orthorhombic
# Spin magnetization (μB per cell): 13.0
# Uncorrected energy (eV per cell): -132.9
# ΔE to the lowest computed polymorph (eV per atom): 0.168

***

# ZnCu2O4 (GGA-PBE, relaxed)
data_ZnCu2O4
_symmetry_space_group_name_H-M 'C 1 2/m 1'
_symmetry_Int_Tables_number 12
_cell_length_a 10.342
_cell_length_b 5.888
_cell_length_c 5.897
_cell_angle_alpha 90.00
_cell_angle_beta 124.60
_cell_angle_gamma 90.00
loop_
_symmetry_equiv_pos_as_xyz
'x,y,z'
'-x,-y,-z'
'-x,y,-z'
'x,-y,z'
'x+1/2,y+1/2,z'
'-x+1/2,-y+1/2,-z'
'-x+1/2,y+1/2,-z'
'x+1/2,-y+1/2,z'
loop_
_atom_site_label
_atom_site_type_symbol
_atom_site_fract_x
_atom_site_fract_y
_atom_site_fract_z
Zn1 Zn 0.123 0.000 0.376
Cu1 Cu 0.000 0.500 0.000
Cu2 Cu 0.000 0.500 0.500
Cu3 Cu 0.250 0.250 0.000
O1 O 0.012 0.275 0.758
O2 O 0.237 0.500 0.216
O3 O 0.245 0.500 0.769
# Energy of formation from the pure elements (eV/atom): -1.081
# Crystal system: monoclinic
# Spin magnetization (μB per cell): 14.4
# Uncorrected energy (eV per cell): -136.3
# ΔE to the lowest computed polymorph (eV per atom): 0.048

***

# ZnCu2O4 (GGA-PBE, relaxed)
data_ZnCu2O4
_symmetry_space_group_name_H-M 'P 3 m 1'
_symmetry_Int_Tables_number 156
_cell_length_a 5.9196
_cell_length_b 5.9196
_cell_length_c 14.4733
_cell_angle_alpha 90.00
_cell_angle_beta 90.00
_cell_angle_gamma 120.00
loop_
_symmetry_equiv_pos_as_xyz
'x,y,z'
'-y,x-y,z'
'-x+y,-x,z'
'-y,-x,z'
'-x+y,y,z'
'x,x-y,z'
loop_
_atom_site_label
_atom_site_type_symbol
_atom_site_fract_x
_atom_site_fract_y
_atom_site_fract_z
Zn1 Zn 0.0000 0.0000 0.0000
Zn2 Zn 0.0000 0.0000 0.2443
Zn3 Zn 0.0000 0.0000 0.6203
Zn4 Zn 0.3333 0.6667 0.3316
Zn5 Zn 0.3333 0.6667 0.9546
Zn6 Zn 0.6667 0.3333 0.6675
Cu1 Cu 0.9995 0.4998 0.1210
Cu2 Cu 0.1666 0.3331 0.7880
Cu3 Cu 0.3333 0.6667 0.5782
Cu4 Cu 0.3337 0.1669 0.4546
Cu5 Cu 0.6667 0.3333 0.2876
Cu6 Cu 0.6667 0.3333 0.9100
O1 O 0.0000 0.0000 0.3814
O2 O 0.0000 0.0000 0.8648
O3 O 0.0227 0.5114 0.8608
O4 O 0.1577 0.3155 0.5293
O5 O 0.1793 0.3587 0.0473
O6 O 0.3062 0.1531 0.7135
O7 O 0.3333 0.6667 0.1958
O8 O 0.3333 0.6667 0.7089
O9 O 0.3667 0.1833 0.1989
O10 O 0.5163 0.0327 0.3745
O11 O 0.6667 0.3333 0.0417
O12 O 0.6667 0.3333 0.5292
# Energy of formation from the pure elements (eV/atom): -1.069
# Crystal system: trigonal
# Spin magnetization (μB per cell): 7.1
# Uncorrected energy (eV per cell): -203.9
# ΔE to the lowest computed polymorph (eV per atom): 0.061

***

# ZnCu2O4 (GGA-PBE, relaxed)
data_ZnCu2O4
_symmetry_space_group_name_H-M 'R 3 m'
_symmetry_Int_Tables_number 160
_symmetry_space_group_name_Hall 'R 3 -2"'
_cell_length_a 5.9358
_cell_length_b 5.9358
_cell_length_c 14.5736
_cell_angle_alpha 90.00
_cell_angle_beta 90.00
_cell_angle_gamma 120.00
loop_
_atom_site_label
_atom_site_type_symbol
_atom_site_fract_x
_atom_site_fract_y
_atom_site_fract_z
Zn1 Zn 0.0000 0.0000 0.0000
Zn2 Zn 0.0000 0.0000 0.3828
Cu1 Cu 0.0000 0.0000 0.6217
Cu2 Cu 0.0004 0.5002 0.5004
O1 O 0.0000 0.0000 0.2479
O2 O 0.0000 0.0000 0.7507
O3 O 0.0297 0.5149 0.7612
O4 O 0.1788 0.3576 0.5715
# Energy of formation from the pure elements (eV/atom): -1.060
# Crystal system: trigonal
# Spin magnetization (μB per cell): 4.7
# Uncorrected energy (eV per cell): -203.5
# ΔE to the lowest computed polymorph (eV per atom): 0.070

***

# ZnCu2O4 (GGA-PBE, relaxed)
data_ZnCu2O4
_symmetry_space_group_name_H-M 'P 1'
_symmetry_Int_Tables_number 1
_cell_length_a 2.926
_cell_length_b 8.904
_cell_length_c 10.345
_cell_angle_alpha 90.08
_cell_angle_beta 90.00
_cell_angle_gamma 90.28
loop_
_symmetry_equiv_pos_as_xyz
'x,y,z'
loop_
_atom_site_label
_atom_site_type_symbol
_atom_site_fract_x
_atom_site_fract_y
_atom_site_fract_z
Zn1 Zn 0.000 0.000 0.000
Zn2 Zn 0.013 0.497 0.185
Zn3 Zn 0.503 0.984 0.504
Zn4 Zn 0.517 0.486 0.685
Cu1 Cu 0.009 0.654 0.447
Cu2 Cu 0.009 0.683 0.962
Cu3 Cu 0.013 0.155 0.742
Cu4 Cu 0.016 0.180 0.227
Cu5 Cu 0.509 0.829 0.242
Cu6 Cu 0.513 0.328 0.947
Cu7 Cu 0.513 0.800 0.727
Cu8 Cu 0.514 0.299 0.461
O1 O 0.006 0.453 0.521
O2 O 0.009 0.774 0.129
O3 O 0.010 0.269 0.059
O4 O 0.010 0.643 0.774
O5 O 0.010 0.860 0.379
O6 O 0.012 0.954 0.667
O7 O 0.013 0.142 0.415
O8 O 0.023 0.360 0.811
O9 O 0.500 0.121 0.879
O10 O 0.505 0.621 0.309
O11 O 0.506 0.839 0.914
O12 O 0.509 0.713 0.560
O13 O 0.512 0.336 0.274
O14 O 0.519 0.030 0.169
O15 O 0.519 0.213 0.629
O16 O 0.519 0.529 0.023
# Energy of formation from the pure elements (eV/atom): -0.969
# Crystal system: triclinic
# Spin magnetization (μB per cell): 0.3
# Uncorrected energy (eV per cell): -133.1
# ΔE to the lowest computed polymorph (eV per atom): 0.161